Record 1
PBE-GGA CoNi2Sn, optimized geometry; calculated formation energy = 47 meV/atom; symmetry = No. 156
1.0
4.199 0.000 0.000
-2.100 3.637 0.000
0.000 0.000 10.327
Co Ni Sn
3 6 3
Cartesian
0.000 0.000 0.000
0.000 0.000 2.634
0.000 0.000 7.667
0.000 0.000 5.005
0.000 2.424 3.797
0.000 2.424 8.965
2.100 1.212 1.344
2.100 1.212 3.773
2.100 1.212 6.238
0.000 2.424 1.254
0.000 2.424 6.351
2.100 1.212 8.966

=====

Record 2
PBE-GGA HfSO6, optimized geometry; calculated formation energy = -2258 meV/atom; symmetry = No. 62
1.0
11.321 0.000 0.000
0.000 5.680 0.000
0.000 0.000 6.830
Hf S O
4 4 24
Cartesian
0.800 1.420 1.125
4.860 4.260 4.540
6.460 1.420 2.290
10.521 4.260 5.705
1.622 4.260 3.088
4.039 1.420 6.503
7.282 4.260 0.327
9.699 1.420 3.742
0.385 4.260 3.898
0.613 0.004 6.376
0.613 2.836 6.376
1.674 3.055 2.235
1.674 5.465 2.235
2.787 4.260 3.985
2.873 1.420 0.570
3.987 0.215 5.651
3.987 2.625 5.651
5.047 2.844 2.961
5.047 5.676 2.961
5.276 1.420 0.483
6.045 4.260 6.348
6.274 0.004 3.869
6.274 2.836 3.869
7.334 3.055 1.180
7.334 5.465 1.180
8.448 4.260 6.260
8.534 1.420 2.845
9.647 0.215 4.595
9.647 2.625 4.595
10.707 2.844 0.454
10.707 5.676 0.454
10.936 1.420 2.932

=====

Record 3
PBE-GGA Y2Al2Co15, optimized geometry; calculated formation energy = -154 meV/atom; symmetry = No. 63
1.0
4.167 -7.210 0.000
4.167 7.210 0.000
0.000 0.000 8.283
Y Al Co
4 4 30
Cartesian
4.167 -7.208 2.071
4.167 7.208 6.212
4.167 2.407 6.212
4.167 -2.407 2.071
4.167 2.405 0.804
4.167 2.405 3.337
4.167 -2.405 4.946
4.167 -2.405 7.479
2.084 3.605 0.000
2.084 3.605 4.141
1.778 2.364 2.071
3.008 4.490 2.071
2.046 1.180 4.368
2.046 1.180 8.056
4.167 4.849 4.369
4.167 4.849 8.055
2.046 -1.180 0.227
2.046 -1.180 3.915
2.939 0.356 2.071
5.327 4.490 2.071
1.778 -2.364 6.212
2.939 -0.356 6.212
2.084 -3.605 0.000
2.084 -3.605 4.141
4.167 0.000 0.000
4.167 0.000 4.141
5.396 0.356 2.071
6.557 2.364 2.071
3.008 -4.490 6.212
5.396 -0.356 6.212
6.289 1.180 4.368
6.289 1.180 8.056
4.167 -4.849 0.227
4.167 -4.849 3.914
6.289 -1.180 0.227
6.289 -1.180 3.915
5.327 -4.490 6.212
6.557 -2.364 6.212

=====

Record 4
PBE-GGA Lu2Ge2O7, optimized geometry; calculated formation energy = -3091 meV/atom; maximum piezoelectric response = 0.102 C/m²; symmetry = No. 92
1.0
6.761 0.000 0.000
0.000 6.761 0.000
0.000 0.000 12.296
Lu Ge O
8 8 28
Cartesian
0.860 2.411 1.410
0.969 4.240 4.483
2.411 0.860 10.886
2.520 5.791 1.664
4.240 0.969 7.812
4.350 5.901 4.738
5.791 2.520 10.631
5.901 4.350 7.557
0.680 1.004 7.781
1.004 0.680 4.515
2.376 4.061 10.855
2.700 4.385 7.589
4.061 2.376 1.441
4.385 2.700 4.707
5.756 6.080 10.662
6.080 5.756 1.633
0.253 0.545 10.705
0.451 4.476 2.211
0.545 0.253 1.590
0.963 2.187 3.609
1.096 2.929 11.433
1.193 4.343 6.683
1.326 1.326 6.148
2.055 4.706 9.222
2.187 0.963 8.686
2.284 6.310 3.936
2.417 5.568 11.760
2.835 3.633 1.484
2.929 1.096 0.863
3.128 3.925 4.664
3.633 2.835 10.812
3.831 5.665 7.010
3.925 3.128 7.631
4.343 1.193 5.612
4.476 0.451 10.084
4.573 5.798 2.539
4.706 2.055 3.074
5.435 5.435 0.000
5.568 2.417 0.535
5.665 3.831 5.285
5.798 4.573 9.757
6.216 6.508 7.738
6.310 2.284 8.359
6.508 6.216 4.558